1.
A relaxed structure of MnGaFe2. Source: the Materials Project database, functional PBE-GGA.

extended XYZ file:
```
4
Lattice="-1.840 1.840 3.478 1.840 -1.840 3.478 1.840 1.840 -3.478" Properties=species:S:1:pos:R:3 pbc="T T T"
Mn 0.000 0.000 0.000
Ga 0.000 0.000 3.478
Fe 1.840 0.000 1.739
Fe 0.000 1.840 1.739
```

Summary:
**Total energy**: -29.258 eV per formula unit

2.
A relaxed structure of InPd5Se. Source: the Materials Project database, functional PBE-GGA.

extended XYZ file:
```
7
Lattice="4.103 0.000 0.000 0.000 4.103 0.000 0.000 0.000 7.099" Properties=species:S:1:pos:R:3 pbc="T T T"
In 0.000 0.000 0.000
Pd 0.000 2.051 1.995
Pd 0.000 2.051 5.105
Pd 2.051 0.000 1.995
Pd 2.051 0.000 5.105
Pd 2.051 2.051 0.000
Se 2.051 2.051 3.550
```

Summary:
**Total energy**: -34.769 eV per formula unit

3.
A relaxed structure of CsBe2P2HO8. Source: the Materials Project database, functional PBE-GGA.

extended XYZ file:
```
56
Lattice="4.969 0.000 0.000 -0.198 10.847 0.000 -0.660 -0.697 13.223" Properties=species:S:1:pos:R:3 pbc="T T T"
Cs 0.883 2.399 4.336
Cs 0.961 8.336 2.058
Cs 3.150 1.813 11.164
Cs 3.228 7.750 8.887
Be 0.720 4.662 0.551
Be 0.352 9.736 11.533
Be 0.909 3.132 8.791
Be 1.070 9.824 6.118
Be 3.041 0.325 7.105
Be 3.202 7.017 4.431
Be 3.759 0.414 1.690
Be 3.391 5.487 12.672
P 0.494 0.139 8.756
P 0.690 6.937 6.010
P 1.296 1.643 0.572
P 0.951 5.032 11.139
P 3.160 5.118 2.084
P 2.815 8.507 12.651
P 3.421 3.213 7.213
P 3.617 10.011 4.467
H 0.716 5.100 7.243
H 0.978 7.258 11.192
H 3.133 2.891 2.031
H 3.395 5.050 5.980
O -0.082 3.586 7.550
O 0.303 0.984 1.543
O 0.073 10.326 4.981
O -0.005 4.927 12.378
O 0.899 3.114 0.293
O 0.639 1.593 9.216
O 0.548 4.015 10.103
O 0.814 8.343 6.608
O 0.652 10.035 9.907
O 0.737 0.230 12.436
O 0.732 6.479 10.549
O 1.092 6.023 7.250
O 1.462 -0.087 7.521
O 1.718 5.306 1.608
O 1.636 6.730 4.830
O 1.400 8.501 11.966
O 2.711 1.649 1.257
O 2.474 3.420 8.393
O 2.393 4.843 11.615
O 2.649 10.237 5.701
O 3.019 4.127 5.973
O 3.379 3.670 2.673
O 3.374 9.920 0.787
O 3.459 0.114 3.316
O 3.297 1.806 6.615
O 3.563 6.135 3.120
O 3.471 8.557 4.007
O 3.212 7.035 12.930
O 4.116 5.223 0.845
O 4.038 -0.176 8.242
O 3.808 9.166 11.680
O 4.192 6.563 5.673
```

Summary:
**Total energy**: -95.016 eV per formula unit

4.
A relaxed structure of Mg5Pd2. Source: the Materials Project database, functional PBE-GGA.

extended XYZ file:
```
28
Lattice="8.807 0.000 0.000 -4.403 7.627 0.000 0.000 0.000 8.056" Properties=species:S:1:pos:R:3 pbc="T T T"
Mg 0.000 0.000 0.000
Mg 0.000 0.000 4.028
Mg -1.725 4.089 2.014
Mg 0.000 2.938 4.524
Mg 0.000 2.938 7.559
Mg -1.859 6.158 4.524
Mg -1.859 6.158 7.559
Mg 2.544 1.469 0.497
Mg 2.544 1.469 3.531
Mg 1.725 4.089 2.014
Mg 0.000 7.076 2.014
Mg 4.403 0.551 6.042
Mg 2.679 3.538 6.042
Mg 1.859 6.158 4.524
Mg 1.859 6.158 7.559
Mg 6.263 1.469 0.497
Mg 6.263 1.469 3.531
Mg 4.403 4.689 0.497
Mg 4.403 4.689 3.531
Mg 6.128 3.538 6.042
Pd 0.000 1.889 2.014
Pd -2.768 6.683 2.014
Pd 1.636 0.944 6.042
Pd 0.000 5.085 6.042
Pd 4.403 2.542 2.014
Pd 2.768 6.683 2.014
Pd 7.171 0.944 6.042
Pd 4.403 5.738 6.042
```

Summary:
**Total energy**: -21.666 eV per formula unit

5.
A relaxed structure of Dy. Source: the Materials Project database, functional PBE-GGA.

extended XYZ file:
```
4
Lattice="3.546 0.000 0.000 -1.773 3.071 0.000 0.000 0.000 11.492" Properties=species:S:1:pos:R:3 pbc="T T T"
Dy 0.000 0.000 0.000
Dy 0.000 0.000 5.746
Dy 0.000 2.047 2.873
Dy 1.773 1.024 8.619
```

Summary:
**Total energy**: -4.603 eV per formula unit

6.
A relaxed structure of LiZrAu2. Source: the Materials Project database, functional PBE-GGA.

extended XYZ file:
```
4
Lattice="0.000 3.321 3.321 3.321 0.000 3.321 3.321 3.321 0.000" Properties=species:S:1:pos:R:3 pbc="T T T"
Li 0.000 0.000 0.000
Zr 3.321 3.321 3.321
Au 1.661 1.661 1.661
Au 4.982 4.982 4.982
```

Summary:
**Total energy**: -19.148 eV per formula unit